Density functional theory data (GGA-PBE) for crystalline Na4CaMgSiS2O12 at its relaxed geometry.

Computed properties:
- Calculated total energy: -6.01 eV/atom

The structure in CIF format:
```
data_Na4CaMgSiS2O12
_cell_length_a 9.323
_cell_length_b 9.326
_cell_length_c 22.504
_cell_angle_alpha 90.22
_cell_angle_beta 90.29
_cell_angle_gamma 119.97
_symmetry_space_group_name_H-M 'P 1'
_symmetry_Int_Tables_number 1
loop_
_symmetry_equiv_pos_as_xyz
'x,y,z'
loop_
_atom_site_label
_atom_site_fract_x
_atom_site_fract_y
_atom_site_fract_z
Na1 0.000 0.000 0.000
Na2 0.001 0.299 0.502
Na3 0.303 0.985 0.857
Na4 0.306 0.617 0.362
Na5 0.333 0.335 0.426
Na6 0.335 0.294 0.922
Na7 0.338 0.672 0.665
Na8 0.338 0.968 0.160
Na9 0.345 0.984 0.511
Na10 0.346 0.661 0.009
Na11 0.603 0.252 0.006
Na12 0.604 0.650 0.506
Na13 0.628 0.933 0.594
Na14 0.631 0.991 0.091
Na15 0.648 0.591 0.834
Na16 0.654 0.357 0.336
Na17 0.679 0.323 0.694
Na18 0.680 0.649 0.191
Na19 0.936 0.933 0.681
Na20 0.941 0.307 0.176
Na21 0.951 0.629 0.262
Na22 0.959 0.628 0.762
Na23 0.990 0.951 0.342
Na24 0.994 0.336 0.839
Ca1 0.328 0.303 0.074
Ca2 0.332 0.314 0.276
Ca3 0.332 0.330 0.578
Ca4 0.649 0.966 0.248
Ca5 0.984 0.641 0.609
Ca6 0.984 0.643 0.104
Mg1 0.342 0.319 0.775
Mg2 0.640 0.981 0.939
Mg3 0.642 0.961 0.442
Mg4 0.652 0.982 0.747
Mg5 0.980 0.638 0.909
Mg6 0.984 0.640 0.412
Si1 0.288 0.938 0.005
Si2 0.289 0.649 0.508
Si3 0.625 0.625 0.680
Si4 0.633 0.307 0.176
Si5 0.654 0.277 0.843
Si6 0.662 0.673 0.346
S1 0.012 0.005 0.176
S2 0.018 0.300 0.681
S3 0.315 0.611 0.175
S4 0.322 0.013 0.679
S5 0.343 0.968 0.346
S6 0.354 0.677 0.842
S7 0.686 0.654 0.003
S8 0.687 0.333 0.506
S9 0.946 0.976 0.843
S10 0.950 0.278 0.347
S11 0.981 0.335 0.004
S12 0.983 0.945 0.507
O1 0.002 0.841 0.174
O2 0.004 0.454 0.680
O3 0.091 0.281 0.625
O4 0.097 0.105 0.123
O5 0.105 0.091 0.231
O6 0.115 0.129 0.839
O7 0.115 0.290 0.347
O8 0.122 0.312 0.733
O9 0.138 0.331 0.007
O10 0.141 0.107 0.510
O11 0.163 0.830 0.950
O12 0.167 0.631 0.452
O13 0.168 0.633 0.174
O14 0.172 0.845 0.678
O15 0.178 0.816 0.352
O16 0.187 0.662 0.846
O17 0.214 0.672 0.571
O18 0.217 0.845 0.068
O19 0.300 0.512 0.228
O20 0.303 0.123 0.002
O21 0.304 0.104 0.730
O22 0.304 0.479 0.505
O23 0.318 0.114 0.345
O24 0.323 0.526 0.120
O25 0.329 0.505 0.837
O26 0.338 0.103 0.623
O27 0.418 0.951 0.291
O28 0.438 0.780 0.790
O29 0.454 0.993 0.398
O30 0.457 0.754 0.896
O31 0.469 0.775 0.177
O32 0.473 0.997 0.685
O33 0.475 0.956 0.001
O34 0.477 0.818 0.504
O35 0.483 0.293 0.838
O36 0.490 0.491 0.348
O37 0.514 0.510 0.005
O38 0.515 0.305 0.508
O39 0.525 0.556 0.617
O40 0.526 0.288 0.116
O41 0.527 0.498 0.735
O42 0.545 0.328 0.236
O43 0.628 0.162 0.901
O44 0.643 0.811 0.688
O45 0.645 0.783 0.399
O46 0.649 0.139 0.177
O47 0.677 0.168 0.498
O48 0.679 0.809 0.996
O49 0.687 0.193 0.784
O50 0.694 0.770 0.283
O51 0.772 0.444 0.456
O52 0.772 0.625 0.953
O53 0.776 0.673 0.060
O54 0.778 0.404 0.562
O55 0.810 0.641 0.679
O56 0.818 0.476 0.176
O57 0.820 0.468 0.848
O58 0.826 0.647 0.353
O59 0.840 0.162 0.999
O60 0.843 0.979 0.501
O61 0.844 0.984 0.176
O62 0.845 0.958 0.790
O63 0.848 0.152 0.684
O64 0.857 0.175 0.399
O65 0.858 0.204 0.291
O66 0.865 0.993 0.897
O67 0.955 0.404 0.060
O68 0.955 0.848 0.562
O69 0.966 0.827 0.846
O70 0.972 0.448 0.351
O71 0.992 0.440 0.953
O72 0.994 0.853 0.455
```